(1)
DFT (PBE) results for an optimized crystal structure of Tb4NiB13.

Unit cell a=7.3620 b=7.3620 c=6.9583 alpha=90.00 beta=90.00 gamma=90.00
With the nearest neighbours (Å) after each atom.
Space group P4/mnc (No. 128)
Inequivalent atoms, fractional coordinates:
Tb  0.1804  0.3148  0.0000 (multiplicity 8)  13 B 2.58-2.76, 1 Ni 2.72
Ni  0.0000  0.0000  0.5000 (multiplicity 2)  8 B 2.19
B  0.0000  0.0000  0.0000 (multiplicity 2)  8 B 2.13
B  0.0400  0.8302  0.2443 (multiplicity 16)  3 B 1.79-1.82
B  0.0934  0.5934  0.2500 (multiplicity 8)  3 B 1.79-1.95

Values from the calculation:
VASP energy, eV per formula unit: -119.33
DFT formation energy, kJ/mol of atoms: -43.83

(2)
DFT (PBE) results for an optimized crystal structure of TbNi12B6.

Unit cell a=9.4633 b=9.4633 c=7.3609 alpha=90.00 beta=90.00 gamma=120.00
With the nearest neighbours (Å) after each atom.
Space group R-3m (No. 166, hexagonal axes)
Inequivalent atoms, fractional coordinates:
Tb  0.0000  0.0000  0.0000 (multiplicity 3)  18 Ni 3.05-3.24, 6 B 3.11
Ni  0.0000  0.3691  0.5000 (multiplicity 18)  4 B 2.03-2.07
Ni  0.0883  0.1765  0.3648 (multiplicity 18)  3 B 2.07-2.10
B  0.0444  0.5222  0.2879 (multiplicity 18)  7 Ni 2.03-2.10

Values from the calculation:
VASP energy, eV per formula unit: -121.48
DFT formation energy, kJ/mol of atoms: -37.60